No. 1
Material: CsBa3
Method: DFT, PBE
State: relaxed

Cell lengths 6.604, 6.604, 6.604 Å; angles 90.00, 90.00, 90.00 degrees
Positions (direct):
Ba: 0.000 0.500 0.500
Ba: 0.500 0.000 0.500
Ba: 0.500 0.500 0.000
Cs: 0.000 0.000 0.000

M_tot   0.06 Bohr magnetons per cell
Energy above the most stable polymorph in this dataset   0 meV/atom
Energy of formation from the pure elements   0.16 eV/atom
Total DFT energy (no corrections)   -0.055 hartree per atom

No. 2
Material: CsBa3
Method: DFT, PBE
State: relaxed

Cell lengths 7.384, 7.384, 7.384 Å; angles 60.00, 60.00, 60.00 degrees
Positions (direct):
Ba: 0.250 0.250 0.250
Ba: 0.750 0.750 0.750
Ba: 0.500 0.500 0.500
Cs: 0.000 0.000 0.000

M_tot   0.55 Bohr magnetons per cell
Energy above the most stable polymorph in this dataset   7 meV/atom
Energy of formation from the pure elements   0.16 eV/atom
Total DFT energy (no corrections)   -0.055 hartree per atom

No. 3
Material: CsBa3
Method: DFT, PBE
State: relaxed

Cell lengths 8.208, 8.208, 8.208 Å; angles 133.40, 133.40, 68.03 degrees
Positions (direct):
Ba: 0.250 0.750 0.500
Ba: 0.500 0.500 0.000
Ba: 0.750 0.250 0.500
Cs: 0.000 0.000 0.000

M_tot   0.00 Bohr magnetons per cell
Energy above the most stable polymorph in this dataset   0 meV/atom
Energy of formation from the pure elements   0.16 eV/atom
Total DFT energy (no corrections)   -0.055 hartree per atom

No. 4
Material: CsBa2Zn2F9
Method: DFT, PBE
State: relaxed

Cell lengths 7.962, 7.962, 7.962 Å; angles 44.30, 44.30, 44.30 degrees
Positions (direct):
Zn: 0.604 0.604 0.604
Zn: 0.391 0.391 0.391
F: 0.735 0.218 0.735
F: 0.510 0.988 0.510
F: 0.265 0.265 0.772
F: 0.772 0.265 0.265
F: 0.988 0.510 0.510
F: 0.218 0.735 0.735
F: 0.510 0.510 0.988
F: 0.265 0.772 0.265
F: 0.735 0.735 0.218
Cs: 0.215 0.215 0.215
Ba: 0.792 0.792 0.792
Ba: 0.999 0.999 0.999

M_tot   0.00 Bohr magnetons per cell
Energy of formation from the pure elements   -3.30 eV/atom
Corrected total energy (MP2020 scheme)   -5.053 eV/atom
Total DFT energy (no corrections)   -0.175 hartree per atom

No. 5
Material: Cs2BaH6N2O12
Method: DFT, PBE
State: relaxed

Cell lengths 6.511, 8.293, 13.531 Å; angles 90.00, 90.00, 90.00 degrees
Positions (direct):
O: 0.480 0.288 0.670
O: 0.020 0.788 0.170
O: 0.827 0.315 0.859
O: 0.480 0.712 0.670
O: 0.980 0.212 0.830
O: 0.173 0.685 0.141
O: 0.775 0.235 0.442
O: 0.327 0.185 0.641
O: 0.775 0.765 0.442
O: 0.520 0.712 0.330
O: 0.827 0.685 0.859
O: 0.725 0.265 0.942
O: 0.173 0.315 0.141
O: 0.225 0.235 0.558
O: 0.725 0.735 0.942
O: 0.520 0.288 0.330
O: 0.275 0.735 0.058
O: 0.673 0.185 0.359
O: 0.673 0.815 0.359
O: 0.225 0.765 0.558
O: 0.327 0.815 0.641
O: 0.275 0.265 0.058
O: 0.020 0.212 0.170
O: 0.980 0.788 0.830
Cs: 0.672 0.500 0.139
Cs: 0.328 0.500 0.861
Cs: 0.828 0.000 0.639
Cs: 0.172 0.000 0.361
H: 0.978 0.599 0.610
H: 0.478 0.901 0.890
H: 0.665 0.000 0.191
H: 0.978 0.401 0.610
H: 0.335 0.000 0.809
H: 0.835 0.500 0.691
H: 0.522 0.901 0.110
H: 0.165 0.500 0.309
H: 0.022 0.599 0.390
H: 0.522 0.099 0.110
H: 0.478 0.099 0.890
H: 0.022 0.401 0.390
N: 0.384 0.000 0.880
N: 0.116 0.500 0.380
N: 0.884 0.500 0.620
N: 0.616 0.000 0.120
Ba: 0.500 0.500 0.500
Ba: 0.000 0.000 0.000

M_tot   8.01 Bohr magnetons per cell
Energy of formation from the pure elements   -0.59 eV/atom
Total DFT energy (no corrections)   -0.181 hartree per atom

No. 6
Material: CsBaI3
Method: DFT, PBE
State: relaxed

Cell lengths 5.270, 10.775, 18.820 Å; angles 90.00, 90.00, 90.00 degrees
Positions (direct):
I: 0.250 0.659 0.008
I: 0.250 0.807 0.277
I: 0.750 0.841 0.508
I: 0.750 0.970 0.106
I: 0.750 0.470 0.394
I: 0.250 0.159 0.492
I: 0.250 0.030 0.894
I: 0.750 0.193 0.723
I: 0.250 0.530 0.606
I: 0.750 0.693 0.777
I: 0.250 0.307 0.223
I: 0.750 0.341 0.992
Cs: 0.250 0.920 0.676
Cs: 0.250 0.420 0.824
Cs: 0.750 0.080 0.324
Cs: 0.750 0.580 0.176
Ba: 0.250 0.671 0.438
Ba: 0.750 0.329 0.562
Ba: 0.250 0.171 0.062
Ba: 0.750 0.829 0.938

Energy of formation from the pure elements   -1.92 eV/atom
Corrected total energy (MP2020 scheme)   -3.402 eV/atom
Total DFT energy (no corrections)   -0.117 hartree per atom

No. 7
Material: CsBaIn2P3O12
Method: DFT, PBE
State: relaxed

Cell lengths 10.423, 10.423, 10.423 Å; angles 90.00, 90.00, 90.00 degrees
Positions (direct):
In: 0.331 0.331 0.331
In: 0.169 0.669 0.831
In: 0.669 0.831 0.169
In: 0.831 0.169 0.669
In: 0.598 0.598 0.598
In: 0.098 0.902 0.402
In: 0.902 0.402 0.098
In: 0.402 0.098 0.902
O: 0.154 0.257 0.410
O: 0.435 0.265 0.498
O: 0.073 0.333 0.008
O: 0.257 0.410 0.154
O: 0.410 0.154 0.257
O: 0.565 0.765 0.002
O: 0.427 0.667 0.508
O: 0.051 0.796 0.226
O: 0.654 0.243 0.590
O: 0.551 0.704 0.774
O: 0.002 0.565 0.765
O: 0.333 0.008 0.073
O: 0.265 0.498 0.435
O: 0.204 0.726 0.449
O: 0.774 0.551 0.704
O: 0.167 0.992 0.573
O: 0.008 0.073 0.333
O: 0.757 0.090 0.846
O: 0.992 0.573 0.167
O: 0.846 0.757 0.090
O: 0.346 0.743 0.910
O: 0.927 0.833 0.492
O: 0.243 0.590 0.654
O: 0.935 0.235 0.502
O: 0.726 0.449 0.204
O: 0.998 0.065 0.735
O: 0.508 0.427 0.667
O: 0.065 0.735 0.998
O: 0.090 0.846 0.757
O: 0.573 0.167 0.992
O: 0.226 0.051 0.796
O: 0.765 0.002 0.565
O: 0.735 0.998 0.065
O: 0.449 0.204 0.726
O: 0.796 0.226 0.051
O: 0.590 0.654 0.243
O: 0.274 0.949 0.296
O: 0.910 0.346 0.743
O: 0.833 0.492 0.927
O: 0.704 0.774 0.551
O: 0.498 0.435 0.265
O: 0.667 0.508 0.427
O: 0.492 0.927 0.833
O: 0.502 0.935 0.235
O: 0.743 0.910 0.346
O: 0.296 0.274 0.949
O: 0.235 0.502 0.935
O: 0.949 0.296 0.274
Cs: 0.546 0.454 0.954
Cs: 0.454 0.954 0.546
Cs: 0.954 0.546 0.454
Cs: 0.046 0.046 0.046
P: 0.214 0.378 0.015
P: 0.622 0.515 0.286
P: 0.015 0.214 0.378
P: 0.286 0.622 0.515
P: 0.786 0.878 0.485
P: 0.378 0.015 0.214
P: 0.714 0.122 0.985
P: 0.485 0.786 0.878
P: 0.985 0.714 0.122
P: 0.515 0.286 0.622
P: 0.878 0.485 0.786
P: 0.122 0.985 0.714
Ba: 0.685 0.185 0.315
Ba: 0.185 0.315 0.685
Ba: 0.315 0.685 0.185
Ba: 0.815 0.815 0.815

M_tot   0.00 Bohr magnetons per cell
Energy of formation from the pure elements   -2.70 eV/atom
Corrected total energy (MP2020 scheme)   -7.121 eV/atom
Total DFT energy (no corrections)   -0.246 hartree per atom

No. 8
Material: CsBaLiP2O7
Method: DFT, PBE
State: relaxed

Cell lengths 10.984, 7.181, 10.881 Å; angles 74.44, 90.00, 90.00 degrees
Positions (direct):
O: 0.779 0.120 0.280
O: 0.086 0.535 0.630
O: 0.558 0.818 0.111
O: 0.051 0.005 0.839
O: 0.954 0.344 0.173
O: 0.449 0.005 0.339
O: 0.294 0.758 0.461
O: 0.442 0.182 0.889
O: 0.454 0.656 0.327
O: 0.721 0.120 0.780
O: 0.586 0.465 0.870
O: 0.058 0.182 0.389
O: 0.794 0.242 0.039
O: 0.949 0.995 0.161
O: 0.706 0.242 0.539
O: 0.279 0.880 0.220
O: 0.414 0.535 0.130
O: 0.119 0.520 0.256
O: 0.206 0.758 0.961
O: 0.546 0.344 0.673
O: 0.551 0.995 0.661
O: 0.619 0.480 0.244
O: 0.046 0.656 0.827
O: 0.221 0.880 0.720
O: 0.942 0.818 0.611
O: 0.914 0.465 0.370
O: 0.881 0.480 0.744
O: 0.381 0.520 0.756
Li: 0.741 0.334 0.359
Li: 0.259 0.666 0.641
Li: 0.759 0.334 0.859
Li: 0.241 0.666 0.141
P: 0.864 0.161 0.164
P: 0.136 0.839 0.836
P: 0.985 0.623 0.697
P: 0.636 0.161 0.664
P: 0.485 0.377 0.803
P: 0.015 0.377 0.303
P: 0.364 0.839 0.336
P: 0.515 0.623 0.197
Cs: 0.828 0.751 0.004
Cs: 0.672 0.751 0.504
Cs: 0.328 0.249 0.496
Cs: 0.172 0.249 0.996
Ba: 0.057 0.806 0.377
Ba: 0.943 0.194 0.623
Ba: 0.557 0.194 0.123
Ba: 0.443 0.806 0.877

M_tot   0.00 Bohr magnetons per cell
Energy of formation from the pure elements   -2.94 eV/atom
Corrected total energy (MP2020 scheme)   -7.123 eV/atom
Total DFT energy (no corrections)   -0.247 hartree per atom

No. 9
Material: CsBaMg6
Method: DFT, PBE
State: relaxed

Cell lengths 5.457, 7.673, 12.639 Å; angles 90.00, 90.00, 90.00 degrees
Positions (direct):
Mg: 0.000 0.500 0.832
Mg: 0.000 0.000 0.332
Mg: 0.500 0.798 0.413
Mg: 0.500 0.298 0.913
Mg: 0.500 0.202 0.413
Mg: 0.000 0.717 0.587
Mg: 0.000 0.783 0.087
Mg: 0.500 0.500 0.667
Mg: 0.000 0.217 0.087
Mg: 0.500 0.702 0.913
Mg: 0.500 0.000 0.167
Mg: 0.000 0.283 0.587
Cs: 0.000 0.000 0.844
Cs: 0.000 0.500 0.344
Ba: 0.500 0.000 0.658
Ba: 0.500 0.500 0.158

M_tot   0.01 Bohr magnetons per cell
Energy above the most stable polymorph in this dataset   42 meV/atom
Energy of formation from the pure elements   0.25 eV/atom
Total DFT energy (no corrections)   -0.048 hartree per atom

No. 10
Material: CsBaMg6
Method: DFT, PBE
State: relaxed

Cell lengths 5.164, 7.201, 14.852 Å; angles 90.00, 90.00, 90.00 degrees
Positions (direct):
Mg: 0.000 0.261 0.036
Mg: 0.500 0.241 0.922
Mg: 0.500 0.759 0.922
Mg: 0.000 0.000 0.862
Mg: 0.000 0.500 0.868
Mg: 0.500 0.741 0.422
Mg: 0.000 0.239 0.536
Mg: 0.500 0.259 0.422
Mg: 0.000 0.739 0.036
Mg: 0.000 0.000 0.368
Mg: 0.000 0.500 0.362
Mg: 0.000 0.761 0.536
Cs: 0.500 0.000 0.182
Cs: 0.500 0.500 0.682
Ba: 0.500 0.500 0.171
Ba: 0.500 0.000 0.671

M_tot   0.00 Bohr magnetons per cell
Energy above the most stable polymorph in this dataset   0 meV/atom
Energy of formation from the pure elements   0.20 eV/atom
Total DFT energy (no corrections)   -0.050 hartree per atom

No. 11
Material: CsBa2Nb3O10
Method: DFT, PBE
State: relaxed

Cell lengths 4.029, 4.029, 16.070 Å; angles 90.00, 90.00, 90.00 degrees
Positions (direct):
O: 0.500 0.000 0.000
O: 0.000 0.000 0.599
O: 0.000 0.500 0.734
O: 0.000 0.000 0.876
O: 0.000 0.000 0.401
O: 0.500 0.000 0.734
O: 0.500 0.000 0.266
O: 0.000 0.000 0.124
O: 0.000 0.500 0.000
O: 0.000 0.500 0.266
Ba: 0.500 0.500 0.856
Ba: 0.500 0.500 0.144
Nb: 0.000 0.000 0.000
Nb: 0.000 0.000 0.290
Nb: 0.000 0.000 0.710
Cs: 0.500 0.500 0.500

M_tot   0.02 Bohr magnetons per cell
Energy of formation from the pure elements   -3.13 eV/atom
Corrected total energy (MP2020 scheme)   -8.414 eV/atom
Total DFT energy (no corrections)   -0.293 hartree per atom

No. 12
Material: CsBaO3
Method: DFT, PBE
State: relaxed

Cell lengths 5.031, 5.031, 5.031 Å; angles 90.00, 90.00, 90.00 degrees
Positions (direct):
Cs: 0.000 0.000 0.000
O: 0.500 0.500 0.000
O: 0.000 0.500 0.500
O: 0.500 0.000 0.500
Ba: 0.500 0.500 0.500

M_tot   3.00 Bohr magnetons per cell
Energy of formation from the pure elements   -1.31 eV/atom
Corrected total energy (MP2020 scheme)   -4.842 eV/atom
Total DFT energy (no corrections)   -0.163 hartree per atom